DFT (GGA+U) results for LiFeF4 after structural relaxation.

Summary:
* space-group type: No. 14
* ΔH_f (0 K): -2.771 eV per atom

Unit cell a=9.6683 b=5.1094 c=8.0267 alpha=51.72 beta=90.00 gamma=90.00
Last column: nearest neighbours and their distance in Å.
Element x y z (fractional)
Li1 0.8143 0.7777 0.7388  4 F 1.88-1.99
Li2 0.3143 0.2223 0.7612  4 F 1.88-1.99
Li3 0.6857 0.7777 0.2388  4 F 1.88-1.99
Li4 0.1857 0.2223 0.2612  4 F 1.88-1.99
Fe1 0.0000 0.5000 0.5000  6 F 1.87-2.04
Fe2 0.5000 0.0000 0.5000  6 F 1.87-2.06
Fe3 0.0000 0.0000 0.0000  6 F 1.87-2.06
Fe4 0.5000 0.5000 0.0000  6 F 1.87-2.04
F1 0.8833 0.1968 0.5112  1 Fe 1.87, 1 Li 1.88
F2 0.3819 0.2623 0.5264  1 Fe 1.87, 1 Li 1.88
F3 0.8977 0.4169 0.7517  1 Li 1.96, 2 Fe 2.04-2.06
F4 0.6162 0.8730 0.7515  1 Li 1.99, 2 Fe 2.03-2.04
F5 0.3977 0.5831 0.7483  1 Li 1.96, 2 Fe 2.04-2.06
F6 0.1162 0.1270 0.7485  1 Li 1.99, 2 Fe 2.03-2.04
F7 0.8819 0.7377 0.9736  1 Fe 1.87, 1 Li 1.88
F8 0.3833 0.8032 0.9888  1 Fe 1.87, 1 Li 1.88
F9 0.6167 0.1968 0.0112  1 Fe 1.87, 1 Li 1.88
F10 0.1181 0.2623 0.0264  1 Fe 1.87, 1 Li 1.88
F11 0.8838 0.8730 0.2515  1 Li 1.99, 2 Fe 2.03-2.04
F12 0.6023 0.4169 0.2517  1 Li 1.96, 2 Fe 2.04-2.06
F13 0.3838 0.1270 0.2485  1 Li 1.99, 2 Fe 2.03-2.04
F14 0.1023 0.5831 0.2483  1 Li 1.96, 2 Fe 2.04-2.06
F15 0.6181 0.7377 0.4736  1 Fe 1.87, 1 Li 1.88
F16 0.1167 0.8032 0.4888  1 Fe 1.87, 1 Li 1.88

DFT (GGA+U) results for Li2VSi6O15 after structural relaxation.

Summary:
* space-group type: No. 4
* ΔH_f (0 K): -3.020 eV per atom

Unit cell a=12.6877 b=6.8710 c=7.4463 alpha=69.25 beta=90.00 gamma=90.00
Last column: nearest neighbours and their distance in Å.
Element x y z (fractional)
Li1 0.6614 0.8577 0.4586  3 O 1.93-2.03
Li2 0.8355 0.8317 0.1589  3 O 2.05-2.23
Li3 0.3355 0.1683 0.8411  3 O 2.05-2.23
Li4 0.1614 0.1423 0.5414  3 O 1.93-2.03
V1 0.2496 0.7386 0.7570  6 O 1.87-2.08
V2 0.7496 0.2614 0.2430  6 O 1.87-2.08
Si1 0.3329 0.9687 0.3081  4 O 1.60-1.67
Si2 0.1558 0.9926 0.0238  4 O 1.62-1.68
Si3 0.4878 0.7004 0.9164  4 O 1.62-1.66
Si4 0.9902 0.6907 0.7045  4 O 1.61-1.65
Si5 0.6572 0.4689 0.8008  4 O 1.61-1.66
Si6 0.3340 0.5089 0.4773  4 O 1.62-1.67
Si7 0.8340 0.4911 0.5227  4 O 1.62-1.67
Si8 0.1572 0.5311 0.1992  4 O 1.61-1.66
Si9 0.4902 0.3093 0.2955  4 O 1.61-1.65
Si10 0.9878 0.2996 0.0836  4 O 1.62-1.66
Si11 0.6558 0.0074 0.9762  4 O 1.62-1.68
Si12 0.8329 0.0313 0.6919  4 O 1.60-1.67
O1 0.1920 0.9931 0.8146  1 Si 1.62
O2 0.7644 0.9272 0.8943  2 Si 1.67-1.68
O3 0.5601 0.8439 0.0013  2 Si 1.62-1.63
O4 0.2650 0.9621 0.4914  1 Si 1.60
O5 0.9463 0.9111 0.7149  2 Si 1.64
O6 0.3832 0.8307 0.8194  1 Si 1.62
O7 0.1159 0.6987 0.6708  1 Si 1.61
O8 0.3638 0.7340 0.3179  2 Si 1.63-1.64
O9 0.2239 0.5462 0.0114  1 Si 1.61
O10 0.5593 0.6387 0.7573  2 Si 1.66
O11 0.1165 0.7665 0.1775  2 Si 1.65
O12 0.9587 0.5151 0.9095  2 Si 1.62-1.63
O13 0.9295 0.6513 0.5247  2 Si 1.64-1.65
O14 0.3163 0.5013 0.6948  1 Si 1.62
O15 0.7240 0.5723 0.5971  2 Si 1.66-1.67
O16 0.2240 0.4277 0.4029  2 Si 1.66-1.67
O17 0.8163 0.4987 0.3052  1 Si 1.62
O18 0.4295 0.3487 0.4753  2 Si 1.64-1.65
O19 0.4587 0.4849 0.0905  2 Si 1.62-1.63
O20 0.6165 0.2335 0.8225  2 Si 1.65
O21 0.0593 0.3613 0.2427  2 Si 1.66
O22 0.7239 0.4538 0.9886  1 Si 1.61
O23 0.8638 0.2660 0.6821  2 Si 1.63-1.64
O24 0.6159 0.3013 0.3292  1 Si 1.61
O25 0.8832 0.1693 0.1806  1 Si 1.62
O26 0.4463 0.0889 0.2851  2 Si 1.64
O27 0.7650 0.0379 0.5087  1 Si 1.60
O28 0.0601 0.1561 0.9987  2 Si 1.62-1.63
O29 0.2644 0.0728 0.1057  2 Si 1.67-1.68
O30 0.6920 0.0069 0.1854  1 Si 1.62

| no. | spin magnetization (μB/f.u.) |
| --- | --- |
| 1 | 5.0 |
| 2 | 1.0 |